# BaSm2Co2O6 PBE+U relaxed
# **Theoretical density**: 6.80 Mg/m³
# **Total energy**: -6.9847 eV/atom
# **Spin magnetization**: 0.545 μB/atom
# **E_form**: -2.634 eV/atom
data_BaSm2Co2O6
_cell_length_a 5.611
_cell_length_b 5.677
_cell_length_c 19.982
_cell_angle_alpha 90.00
_cell_angle_beta 90.00
_cell_angle_gamma 90.00
_space_group_name_H-M_alt 'P n n m'
_space_group_IT_number 58
loop_
_space_group_symop_operation_xyz
'x,y,z'
'-x,-y,-z'
'-x,-y,z'
'x,y,-z'
'x+1/2,-y+1/2,-z+1/2'
'-x+1/2,y+1/2,z+1/2'
'-x+1/2,y+1/2,-z+1/2'
'x+1/2,-y+1/2,z+1/2'
loop_
_atom_site_label
_atom_site_type_symbol
_atom_site_fract_x
_atom_site_fract_y
_atom_site_fract_z
_atom_site_occupancy
Ba1 Ba 0.226 0.239 0.000 1
Sm1 Sm 0.246 0.760 0.315 1
Co1 Co 0.249 0.757 0.101 1
O1 O 0.000 0.000 0.124 1
O2 O 0.000 0.500 0.110 1
O3 O 0.000 0.500 0.385 1
O4 O 0.184 0.173 0.292 1
O5 O 0.212 0.225 0.500 1